No. 1
A relaxed ZnCuHg4As7S12 crystal. Source: the Materials Project, functional PBE.

a = 9.3320 Å, b = 9.5594 Å, c = 23.7213 Å
α = 99.41°, β = 94.76°, γ = 107.88°
Fractional positions:
Zn  0.0000  0.0000  0.0000
Zn  0.3071  0.3202  0.6623
Zn  0.6444  0.6478  0.3331
Cu  0.2598  0.5008  0.2592
Cu  0.6007  0.8403  0.9170
Cu  0.9061  0.1580  0.5816
Hg  0.0020  0.7548  0.2543
Hg  0.1718  0.1552  0.3325
Hg  0.1746  0.4224  0.0889
Hg  0.2409  0.0461  0.7528
Hg  0.3449  0.0664  0.9072
Hg  0.5096  0.7639  0.7510
Hg  0.5147  0.5018  0.9986
Hg  0.5600  0.3079  0.4138
Hg  0.6401  0.3899  0.6002
Hg  0.8330  0.8373  0.6640
Hg  0.8401  0.1302  0.4236
Hg  0.9139  0.6736  0.0874
As  0.0290  0.5632  0.8854
As  0.0449  0.0914  0.1708
As  0.0810  0.5559  0.6572
As  0.1288  0.4707  0.7974
As  0.2420  0.2337  0.5044
As  0.2839  0.7806  0.0153
As  0.3793  0.4238  0.8287
As  0.4241  0.8976  0.3331
As  0.4447  0.1255  0.1613
As  0.5493  0.9414  0.1931
As  0.5783  0.5456  0.1714
As  0.5791  0.0917  0.6691
As  0.6553  0.0700  0.1163
As  0.6998  0.2082  0.2160
As  0.7302  0.7706  0.5093
As  0.7600  0.4683  0.8345
As  0.7717  0.2567  0.9925
As  0.8555  0.3019  0.8794
As  0.9215  0.8902  0.8354
As  0.9421  0.4390  0.3463
As  0.9955  0.6855  0.4495
S  0.0108  0.4911  0.2598
S  0.0183  0.2872  0.5123
S  0.0224  0.7572  0.9963
S  0.0520  0.3161  0.6659
S  0.0691  0.0823  0.9113
S  0.1095  0.8728  0.1707
S  0.1572  0.1441  0.0879
S  0.1866  0.9004  0.3551
S  0.1926  0.6767  0.7547
S  0.2416  0.5224  0.9951
S  0.2495  0.2481  0.2413
S  0.3150  0.3622  0.4320
S  0.3229  0.0722  0.6483
S  0.3474  0.8048  0.9253
S  0.3513  0.5891  0.1799
S  0.3852  0.4321  0.5805
S  0.4030  0.6589  0.3474
S  0.4705  0.1220  0.8210
S  0.4778  0.4777  0.7467
S  0.5252  0.2397  0.0046
S  0.5436  0.8369  0.6507
S  0.5491  0.0376  0.4262
S  0.5954  0.5887  0.8974
S  0.6440  0.6833  0.0987
S  0.6486  0.1258  0.5791
S  0.6825  0.4151  0.3316
S  0.6927  0.9354  0.8389
S  0.7180  0.7417  0.2510
S  0.7519  0.0096  0.9960
S  0.8064  0.5554  0.4989
S  0.8352  0.8151  0.4224
S  0.8447  0.5697  0.6783
S  0.8840  0.3917  0.0859
S  0.8946  0.1700  0.3243
S  0.9355  0.9239  0.5727
S  0.9714  0.0245  0.7599

Properties
The calculation puts the calculated formation energy at -0.3032 eV per atom. As for the space group: P1. The volume comes out at 1966.8 Å³/cell. The value obtained for the magnetization is 0.01 μB/atom. Its excess energy over the best structure of this formula in the dataset is 0.000 eV/atom.

---

No. 2
A relaxed RePCl8O crystal. Source: the Materials Project, functional PBE.

a = 17.1142 Å, b = 8.3970 Å, c = 9.1064 Å
α = 90.00°, β = 90.00°, γ = 90.00°
Fractional positions:
Re  0.1480  0.2500  0.0769
Re  0.3520  0.7500  0.5769
Re  0.6480  0.2500  0.4231
Re  0.8520  0.7500  0.9231
P  0.0771  0.2500  0.7175
P  0.4229  0.7500  0.2175
P  0.5771  0.2500  0.7825
P  0.9229  0.7500  0.2825
Cl  0.0311  0.7500  0.3596
Cl  0.0328  0.2500  0.2115
Cl  0.1296  0.0609  0.6327
Cl  0.1296  0.4391  0.6327
Cl  0.1409  0.5217  0.0548
Cl  0.1409  0.9783  0.0548
Cl  0.2223  0.2500  0.2808
Cl  0.2411  0.7500  0.4253
Cl  0.2589  0.2500  0.9253
Cl  0.2777  0.7500  0.7808
Cl  0.3591  0.0217  0.5548
Cl  0.3591  0.4783  0.5548
Cl  0.3704  0.5609  0.1327
Cl  0.3704  0.9391  0.1327
Cl  0.4672  0.7500  0.7115
Cl  0.4689  0.2500  0.8596
Cl  0.5311  0.7500  0.1404
Cl  0.5328  0.2500  0.2885
Cl  0.6296  0.0609  0.8673
Cl  0.6296  0.4391  0.8673
Cl  0.6409  0.5217  0.4452
Cl  0.6409  0.9783  0.4452
Cl  0.7223  0.2500  0.2192
Cl  0.7411  0.7500  0.0747
Cl  0.7589  0.2500  0.5747
Cl  0.7777  0.7500  0.7192
Cl  0.8591  0.0217  0.9452
Cl  0.8591  0.4783  0.9452
Cl  0.8704  0.5609  0.3673
Cl  0.8704  0.9391  0.3673
Cl  0.9672  0.7500  0.7885
Cl  0.9689  0.2500  0.6404
O  0.0751  0.2500  0.8818
O  0.4249  0.7500  0.3818
O  0.5751  0.2500  0.6182
O  0.9249  0.7500  0.1182

Properties
The calculation puts the calculated formation energy at -0.8734 eV per atom. As for the space group: Pnma. The volume comes out at 1308.7 Å³/cell. The value obtained for the magnetization is 0.18 μB/atom.

---

No. 3
A relaxed OsN2 crystal. Source: the Materials Project, functional PBE.

a = 4.1458 Å, b = 4.9533 Å, c = 2.7014 Å
α = 90.00°, β = 90.00°, γ = 90.00°
Fractional positions:
Os  0.0000  0.0000  0.0000
Os  0.5000  0.5000  0.5000
N  0.1266  0.4043  0.0000
N  0.3734  0.9043  0.5000
N  0.6266  0.0957  0.5000
N  0.8734  0.5957  0.0000

Properties
The calculation puts the calculated formation energy at 0.2877 eV per atom. As for the space group: Pnnm. The volume comes out at 55.5 Å³/cell. The value obtained for the magnetization is 0.00 μB/atom. Its excess energy over the best structure of this formula in the dataset is 0.226 eV/atom.

---

No. 4
A relaxed SrI2O6 crystal. Source: the Materials Project, functional PBE.

a = 7.3876 Å, b = 7.3876 Å, c = 8.1976 Å
α = 121.06°, β = 121.06°, γ = 67.04°
Fractional positions:
Sr  0.1569  0.8431  0.7500
Sr  0.8431  0.1569  0.2500
I  0.2878  0.3422  0.2929
I  0.3422  0.2878  0.7929
I  0.6578  0.7122  0.2071
I  0.7122  0.6578  0.7071
O  0.0844  0.1931  0.6339
O  0.1931  0.0844  0.1339
O  0.2126  0.4137  0.5043
O  0.2564  0.5776  0.9182
O  0.4137  0.2126  0.0043
O  0.4224  0.7436  0.5818
O  0.5776  0.2564  0.4182
O  0.5863  0.7874  0.9957
O  0.7436  0.4224  0.0818
O  0.7874  0.5863  0.4957
O  0.8069  0.9156  0.8661
O  0.9156  0.8069  0.3661

Properties
The calculation puts the calculated formation energy at -1.5357 eV per atom. As for the space group: C2/c. The volume comes out at 323.6 Å³/cell. Its excess energy over the best structure of this formula in the dataset is 0.005 eV/atom.

---

No. 5
A relaxed CrN2 crystal. Source: the Materials Project, functional PBE.

a = 5.6034 Å, b = 8.9695 Å, c = 5.6227 Å
α = 90.00°, β = 119.31°, γ = 90.00°
Fractional positions:
Cr  0.1251  0.0000  0.3562
Cr  0.2094  0.3781  0.3100
Cr  0.7906  0.8781  0.6900
Cr  0.8749  0.5000  0.6438
N  0.0531  0.4276  0.9718
N  0.0589  0.4652  0.4695
N  0.1650  0.1846  0.3347
N  0.4450  0.9198  0.5312
N  0.5550  0.4198  0.4688
N  0.8350  0.6846  0.6653
N  0.9411  0.9652  0.5305
N  0.9469  0.9276  0.0282

Properties
The calculation puts the calculated formation energy at -0.1144 eV per atom. As for the space group: P2_1. The volume comes out at 246.4 Å³/cell. The value obtained for the magnetization is 0.00 μB/atom.

---

No. 6
A relaxed Sm2AlGe3 crystal. Source: the Materials Project, functional PBE.

a = 6.8757 Å, b = 4.3097 Å, c = 18.0796 Å
α = 90.00°, β = 90.00°, γ = 90.00°
Fractional positions:
Sm  0.1721  0.2500  0.0844
Sm  0.1735  0.2500  0.2960
Sm  0.3265  0.7500  0.7960
Sm  0.3279  0.7500  0.5844
Sm  0.6721  0.2500  0.4156
Sm  0.6735  0.2500  0.2040
Sm  0.8265  0.7500  0.7040
Sm  0.8279  0.7500  0.9156
Al  0.0488  0.7500  0.4356
Al  0.4512  0.2500  0.9356
Al  0.5488  0.7500  0.0644
Al  0.9512  0.2500  0.5644
Ge  0.0244  0.2500  0.8244
Ge  0.1422  0.2500  0.6882
Ge  0.2414  0.2500  0.4647
Ge  0.2586  0.7500  0.9647
Ge  0.3578  0.7500  0.1882
Ge  0.4756  0.7500  0.3244
Ge  0.5244  0.2500  0.6756
Ge  0.6422  0.2500  0.8118
Ge  0.7414  0.2500  0.0353
Ge  0.7586  0.7500  0.5353
Ge  0.8578  0.7500  0.3118
Ge  0.9756  0.7500  0.1756

Properties
The calculation puts the calculated formation energy at -0.6612 eV per atom. As for the space group: Pnma. The volume comes out at 535.7 Å³/cell. The value obtained for the magnetization is 0.00 μB/atom.

---

No. 7
A relaxed SrGdCuS3 crystal. Source: the Materials Project, functional PBE.

a = 10.3622 Å, b = 3.9604 Å, c = 12.9714 Å
α = 90.00°, β = 90.00°, γ = 90.00°
Fractional positions:
Sr  0.2236  0.2500  0.0015
Sr  0.2764  0.7500  0.5015
Sr  0.7236  0.2500  0.4985
Sr  0.7764  0.7500  0.9985
Gd  0.0139  0.7500  0.2599
Gd  0.4861  0.2500  0.7599
Gd  0.5139  0.7500  0.2401
Gd  0.9861  0.2500  0.7401
Cu  0.2365  0.7500  0.7785
Cu  0.2635  0.2500  0.2785
Cu  0.7365  0.7500  0.7215
Cu  0.7635  0.2500  0.2215
S  0.0532  0.7500  0.8817
S  0.0914  0.2500  0.3926
S  0.2408  0.2500  0.6740
S  0.2592  0.7500  0.1740
S  0.4086  0.7500  0.8926
S  0.4468  0.2500  0.3817
S  0.5532  0.7500  0.6183
S  0.5914  0.2500  0.1074
S  0.7408  0.2500  0.8260
S  0.7592  0.7500  0.3260
S  0.9086  0.7500  0.6074
S  0.9468  0.2500  0.1183

Properties
The calculation puts the calculated formation energy at -1.9407 eV per atom. As for the space group: Pnma. The volume comes out at 532.3 Å³/cell. The value obtained for the magnetization is 1.17 μB/atom.

---

No. 8
A relaxed CeP3O12 crystal. Source: the Materials Project, functional PBE.

a = 6.7623 Å, b = 6.7623 Å, c = 5.9077 Å
α = 90.00°, β = 90.00°, γ = 120.00°
Fractional positions:
Ce  0.0000  0.0000  0.0000
P  0.1178  0.7314  0.5000
P  0.2686  0.3864  0.5000
P  0.6136  0.8822  0.5000
O  0.0192  0.7594  0.2826
O  0.0192  0.7594  0.7174
O  0.0956  0.4841  0.5000
O  0.2406  0.2598  0.2826
O  0.2406  0.2598  0.7174
O  0.3783  0.0363  0.0000
O  0.3885  0.9044  0.5000
O  0.5159  0.6115  0.5000
O  0.6580  0.6217  0.0000
O  0.7402  0.9808  0.2826
O  0.7402  0.9808  0.7174
O  0.9637  0.3420  0.0000

Properties
The calculation puts the calculated formation energy at -2.1088 eV per atom. As for the space group: P-6. The volume comes out at 234.0 Å³/cell. The value obtained for the magnetization is 0.31 μB/atom.

---

No. 9
A relaxed Sm3GaFeS7 crystal. Source: the Materials Project, functional PBE.

a = 9.8478 Å, b = 9.8478 Å, c = 6.1485 Å
α = 90.00°, β = 90.00°, γ = 120.00°
Fractional positions:
Sm  0.1498  0.3743  0.0000
Sm  0.2245  0.8502  0.0000
Sm  0.3743  0.2245  0.5000
Sm  0.6257  0.7755  0.0000
Sm  0.7755  0.1498  0.5000
Sm  0.8502  0.6257  0.5000
Ga  0.3333  0.6667  0.5752
Ga  0.6667  0.3333  0.0752
Fe  0.0000  0.0000  0.1896
Fe  0.0000  0.0000  0.6896
S  0.0915  0.5724  0.7296
S  0.0969  0.2334  0.4235
S  0.1366  0.9031  0.4235
S  0.2334  0.1366  0.9235
S  0.3333  0.6667  0.2088
S  0.4276  0.5190  0.7296
S  0.4810  0.9085  0.7296
S  0.5190  0.0915  0.2296
S  0.5724  0.4810  0.2296
S  0.6667  0.3333  0.7088
S  0.7666  0.8634  0.4235
S  0.8634  0.0969  0.9235
S  0.9031  0.7666  0.9235
S  0.9085  0.4276  0.2296

Properties
The calculation puts the calculated formation energy at -1.7652 eV per atom. As for the space group: P6_3. The volume comes out at 516.4 Å³/cell. The value obtained for the magnetization is 0.33 μB/atom.

---

No. 10
A relaxed MgZn crystal. Source: the Materials Project, functional PBE.

a = 5.7794 Å, b = 5.7794 Å, c = 6.7403 Å
α = 103.66°, β = 103.66°, γ = 30.06°
Fractional positions:
Mg  0.0000  0.0000  0.0000
Mg  0.0457  0.0457  0.5698
Mg  0.3183  0.3183  0.6430
Zn  0.3695  0.3695  0.2473
Zn  0.6666  0.6666  0.3055
Zn  0.7164  0.7164  0.9320

Properties
The calculation puts the calculated formation energy at -0.0262 eV per atom. As for the space group: Cm. The volume comes out at 109.3 Å³/cell. The value obtained for the magnetization is 0.00 μB/atom.

---

No. 11
A relaxed ZrCrW crystal. Source: the Materials Project, functional PBE.

a = 5.2398 Å, b = 5.2398 Å, c = 5.2398 Å
α = 120.48°, β = 118.83°, γ = 90.60°
Fractional positions:
Zr  0.3731  0.1231  0.2500
Zr  0.6269  0.8769  0.7500
Cr  0.0000  0.0000  0.5000
Cr  0.0000  0.5000  0.0000
W  0.0000  0.5000  0.5000
W  0.5000  0.5000  0.0000

Properties
The calculation puts the calculated formation energy at -0.0687 eV per atom. As for the space group: Imma. The volume comes out at 102.2 Å³/cell. The value obtained for the magnetization is 0.00 μB/atom.

---

No. 12
A relaxed BeInO3 crystal. Source: the Materials Project, functional PBE.

a = 3.5565 Å, b = 3.5565 Å, c = 3.5565 Å
α = 90.00°, β = 90.00°, γ = 90.00°
Fractional positions:
Be  0.0000  0.0000  0.0000
In  0.5000  0.5000  0.5000
O  0.0000  0.0000  0.5000
O  0.0000  0.5000  0.0000
O  0.5000  0.0000  0.0000

Properties
The calculation puts the calculated formation energy at -1.5293 eV per atom. As for the space group: Pm-3m. The volume comes out at 45.0 Å³/cell. The value obtained for the magnetization is 0.14 μB/atom.

---

No. 13
A relaxed LuInPt crystal. Source: the Materials Project, functional PBE.

a = 7.6512 Å, b = 7.6512 Å, c = 3.7674 Å
α = 90.00°, β = 90.00°, γ = 120.00°
Fractional positions:
Lu  0.0000  0.5946  0.0000
Lu  0.4054  0.4054  0.0000
Lu  0.5946  0.0000  0.0000
In  0.0000  0.2627  0.5000
In  0.2627  0.0000  0.5000
In  0.7373  0.7373  0.5000
Pt  0.0000  0.0000  0.0000
Pt  0.3333  0.6667  0.5000
Pt  0.6667  0.3333  0.5000

Properties
The calculation puts the calculated formation energy at -0.9869 eV per atom. As for the space group: P-62m. The volume comes out at 191.0 Å³/cell.